# 1
A geometry-optimized NdCo2 structure, computed with PBE.

Values from the calculation:
E_tot	-38.15	eV per cell
formation enthalpy at 0 K	-0.03	eV/atom

Geometry as extended XYZ:
```
6
Lattice="0.000 3.638 3.638 3.638 0.000 3.638 3.638 3.638 0.000" Properties=species:S:1:pos:R:3 pbc="T T T"
Nd 0.909 0.909 0.909
Nd 6.366 6.366 6.366
Co 3.638 1.819 1.819
Co 1.819 3.638 1.819
Co 1.819 1.819 3.638
Co 3.638 3.638 3.638
```



# 2
A geometry-optimized Nd2Co structure, computed with PBE.

Values from the calculation:
E_tot	-25.95	eV per cell
formation enthalpy at 0 K	1.22	eV/atom

Geometry as extended XYZ:
```
6
Lattice="0.000 4.415 4.415 4.415 0.000 4.415 4.415 4.415 0.000" Properties=species:S:1:pos:R:3 pbc="T T T"
Nd 0.000 0.000 0.000
Nd 2.207 2.207 0.000
Nd 2.207 0.000 2.207
Nd 0.000 2.207 2.207
Co 3.311 3.311 3.311
Co 5.518 5.518 5.518
```



# 3
A geometry-optimized NdCo5P3 structure, computed with PBE.

Values from the calculation:
E_tot	-254.20	eV per cell
formation enthalpy at 0 K	-0.78	eV/atom

Geometry as extended XYZ:
```
36
Lattice="11.829 0.000 0.000 0.000 3.699 0.000 0.000 0.000 10.367" Properties=species:S:1:pos:R:3 pbc="T T T"
Nd 2.405 0.925 0.864
Nd 3.510 2.774 6.048
Nd 8.320 0.925 4.319
Nd 9.424 2.774 9.503
Co 0.127 2.774 0.974
Co 0.129 2.774 7.405
Co 0.787 2.774 4.841
Co 2.074 0.925 8.083
Co 2.328 0.925 3.959
Co 3.587 2.774 9.142
Co 3.840 2.774 2.900
Co 5.127 0.925 10.025
Co 5.786 0.925 2.222
Co 5.787 0.925 6.157
Co 6.042 2.774 4.209
Co 6.044 2.774 8.145
Co 6.702 2.774 0.342
Co 7.989 0.925 7.467
Co 8.243 0.925 1.225
Co 9.501 2.774 6.408
Co 9.755 2.774 2.284
Co 11.042 0.925 5.526
Co 11.700 0.925 2.962
Co 11.702 0.925 9.393
P 1.271 2.774 9.289
P 1.304 0.925 6.025
P 1.540 2.774 2.840
P 4.375 0.925 8.024
P 4.611 2.774 0.841
P 4.643 0.925 4.105
P 7.186 2.774 6.261
P 7.219 0.925 9.526
P 7.454 2.774 2.343
P 10.290 0.925 7.527
P 10.525 2.774 4.342
P 10.558 0.925 1.078
```



# 4
A geometry-optimized NdCo4P12 structure, computed with PBE.

Values from the calculation:
E_tot	-107.28	eV per cell
formation enthalpy at 0 K	-0.54	eV/atom

Geometry as extended XYZ:
```
17
Lattice="-3.910 3.910 3.910 3.910 -3.910 3.910 3.910 3.910 -3.910" Properties=species:S:1:pos:R:3 pbc="T T T"
Nd 0.000 0.000 0.000
Co 1.955 1.955 -1.955
Co 1.955 -1.955 1.955
Co -1.955 1.955 1.955
Co 1.955 1.955 1.955
P 2.759 1.151 0.000
P 5.062 1.151 0.000
P 3.910 -1.151 2.759
P 2.759 3.910 -1.151
P 1.151 0.000 2.759
P 0.000 2.759 1.151
P 3.910 1.151 2.759
P 2.759 3.910 1.151
P 1.151 0.000 5.062
P 0.000 5.062 1.151
P -1.151 2.759 3.910
P 1.151 2.759 3.910
```



# 5
A geometry-optimized Nd12Co6Pb structure, computed with PBE.

Values from the calculation:
E_tot	-106.57	eV per cell
formation enthalpy at 0 K	-0.16	eV/atom

Geometry as extended XYZ:
```
19
Lattice="-5.032 5.032 5.032 5.032 -5.032 5.032 5.032 5.032 -5.032" Properties=species:S:1:pos:R:3 pbc="T T T"
Nd 5.032 -1.927 3.111
Nd 3.105 1.921 0.000
Nd 6.959 1.921 0.000
Nd 3.111 5.032 -1.927
Nd 1.921 0.000 3.105
Nd 0.000 3.105 1.921
Nd 5.032 1.927 3.111
Nd 3.111 5.032 1.927
Nd 1.921 0.000 6.959
Nd -1.927 3.111 5.032
Nd 1.927 3.111 5.032
Nd 0.000 6.959 1.921
Co 5.032 0.000 1.110
Co 5.032 3.922 0.000
Co 1.110 5.032 0.000
Co 3.922 0.000 5.032
Co 0.000 1.110 5.032
Co 0.000 5.032 3.922
Pb 0.000 0.000 0.000
```



# 6
A geometry-optimized Nd4CoS7 structure, computed with PBE.

Values from the calculation:
E_tot	-148.67	eV per cell
formation enthalpy at 0 K	-1.89	eV/atom

Geometry as extended XYZ:
```
24
Lattice="9.850 0.000 0.000 -4.925 8.530 0.000 0.000 0.000 6.751" Properties=species:S:1:pos:R:3 pbc="T T T"
Nd -2.378 6.584 0.000
Nd 0.412 3.179 0.000
Nd 0.000 5.687 3.658
Nd 2.959 1.233 3.376
Nd 1.966 7.298 0.000
Nd 4.925 2.843 0.282
Nd 4.513 5.352 3.376
Nd 7.303 1.946 3.376
Co 0.000 0.000 1.332
Co 0.000 0.000 4.708
S -1.802 4.324 5.100
S -3.337 7.365 2.789
S 0.215 1.958 2.789
S 1.803 0.793 6.164
S 0.000 5.687 1.023
S -0.279 7.929 5.100
S 2.082 4.807 5.100
S 2.843 3.723 1.724
S 5.204 0.601 1.724
S 4.925 2.843 4.398
S 3.122 7.738 2.789
S 4.710 6.572 6.164
S 8.262 1.165 6.164
S 6.727 4.206 1.724
```



# 7
A geometry-optimized NdCoSb3 structure, computed with PBE.

Values from the calculation:
E_tot	-216.91	eV per cell
formation enthalpy at 0 K	-0.69	eV/atom

Geometry as extended XYZ:
```
40
Lattice="12.757 0.000 0.000 0.000 6.203 0.000 0.000 0.000 12.148" Properties=species:S:1:pos:R:3 pbc="T T T"
Nd 2.512 1.377 3.037
Nd 2.512 1.724 9.111
Nd 2.558 4.652 0.000
Nd 2.558 4.652 6.074
Nd 10.199 1.551 0.000
Nd 10.199 1.551 6.074
Nd 10.245 4.479 3.037
Nd 10.245 4.825 9.111
Co 5.127 0.238 7.727
Co 5.127 0.238 10.495
Co 5.127 2.863 1.653
Co 5.127 2.863 4.421
Co 7.630 3.340 7.727
Co 7.630 3.340 10.495
Co 7.630 5.964 1.653
Co 7.630 5.964 4.421
Sb 0.034 0.092 7.584
Sb 0.034 0.092 10.638
Sb 0.034 3.009 1.510
Sb 0.034 3.009 4.564
Sb 3.580 1.551 0.000
Sb 3.580 1.551 6.074
Sb 3.648 4.531 3.037
Sb 3.648 4.772 9.111
Sb 5.671 0.709 3.037
Sb 5.671 2.392 9.111
Sb 6.023 4.652 0.000
Sb 6.023 4.652 6.074
Sb 6.734 1.551 0.000
Sb 6.734 1.551 6.074
Sb 7.086 3.810 3.037
Sb 7.086 5.494 9.111
Sb 9.109 1.430 3.037
Sb 9.109 1.671 9.111
Sb 9.177 4.652 0.000
Sb 9.177 4.652 6.074
Sb 12.723 3.193 7.584
Sb 12.723 3.193 10.638
Sb 12.723 6.110 1.510
Sb 12.723 6.110 4.564
```



# 8
A geometry-optimized Nd2CoSb4 structure, computed with PBE.

Values from the calculation:
E_tot	-38.12	eV per cell
formation enthalpy at 0 K	-0.82	eV/atom

Geometry as extended XYZ:
```
7
Lattice="4.391 0.000 0.000 0.000 4.391 0.000 0.000 0.000 9.650" Properties=species:S:1:pos:R:3 pbc="T T T"
Nd 0.000 2.195 2.296
Nd 2.195 0.000 7.354
Co 0.000 0.000 0.000
Sb 0.000 0.000 4.825
Sb 0.000 2.195 8.496
Sb 2.195 0.000 1.154
Sb 2.195 2.195 4.825
```



# 9
A geometry-optimized NdCoSi3 structure, computed with PBE.

Values from the calculation:
E_tot	-31.45	eV per cell
formation enthalpy at 0 K	-0.62	eV/atom

Geometry as extended XYZ:
```
5
Lattice="-2.067 2.067 4.836 2.067 -2.067 4.836 2.067 2.067 -4.836" Properties=species:S:1:pos:R:3 pbc="T T T"
Nd 0.000 0.000 0.000
Co 0.000 0.000 6.376
Si 2.067 0.000 2.489
Si 0.000 0.000 4.104
Si 0.000 2.067 2.489
```